# 1
Computed, not measured: a relaxed Ba2YCl7 crystal at the r2SCAN level of DFT.

Unit cell a=6.8664 b=15.6372 c=10.5952 alpha=90.00 beta=90.60 gamma=90.00
With the nearest neighbours (Å) after each atom.
Element x y z (fractional)
Ba: 0.2349 0.0608 0.3236  9 Cl 3.10-3.36
Ba: 0.2349 0.4392 0.8236  9 Cl 3.10-3.36
Ba: 0.2352 0.7202 0.4511  9 Cl 3.10-3.34
Ba: 0.2352 0.7798 0.9511  9 Cl 3.10-3.34
Ba: 0.7648 0.2202 0.0489  9 Cl 3.10-3.34
Ba: 0.7648 0.2798 0.5489  9 Cl 3.10-3.34
Ba: 0.7651 0.5608 0.1764  9 Cl 3.10-3.36
Ba: 0.7651 0.9392 0.6764  9 Cl 3.10-3.36
Y: 0.2825 0.1271 0.7818  7 Cl 2.67-2.79
Y: 0.2825 0.3729 0.2818  7 Cl 2.67-2.79
Y: 0.7175 0.6271 0.7182  7 Cl 2.67-2.79
Y: 0.7175 0.8729 0.2182  7 Cl 2.67-2.79
Cl: 0.0113 0.2424 0.3018  1 Y 2.77
Cl: 0.0113 0.2576 0.8018  1 Y 2.77
Cl: 0.0126 0.1050 0.5853  1 Y 2.79
Cl: 0.0126 0.3950 0.0853  1 Y 2.79
Cl: 0.2046 0.5404 0.2874  1 Y 2.67
Cl: 0.2046 0.9596 0.7874  1 Y 2.67
Cl: 0.2081 0.1397 0.0290  1 Y 2.68
Cl: 0.2081 0.3603 0.5290  1 Y 2.68
Cl: 0.3710 0.5706 0.6232  1 Y 2.72
Cl: 0.3710 0.9294 0.1232  1 Y 2.72
Cl: 0.4992 0.6043 0.9291  1 Y 2.73
Cl: 0.4992 0.8957 0.4291  1 Y 2.73
Cl: 0.4995 0.2275 0.2949  1 Y 2.72
Cl: 0.4995 0.2725 0.7949  1 Y 2.72
Cl: 0.5005 0.7275 0.2051  1 Y 2.72
Cl: 0.5005 0.7725 0.7051  1 Y 2.72
Cl: 0.5008 0.1043 0.5709  1 Y 2.73
Cl: 0.5008 0.3957 0.0709  1 Y 2.73
Cl: 0.6290 0.0706 0.8768  1 Y 2.72
Cl: 0.6290 0.4294 0.3768  1 Y 2.72
Cl: 0.7919 0.6397 0.4710  1 Y 2.68
Cl: 0.7919 0.8603 0.9710  1 Y 2.68
Cl: 0.7954 0.0404 0.2126  1 Y 2.67
Cl: 0.7954 0.4596 0.7126  1 Y 2.67
Cl: 0.9874 0.6050 0.9147  1 Y 2.79
Cl: 0.9874 0.8950 0.4147  1 Y 2.79
Cl: 0.9887 0.7424 0.1982  1 Y 2.77
Cl: 0.9887 0.7576 0.6982  1 Y 2.77

- energy (eV/atom) = -14.3569
- crystal system = monoclinic
- formation enthalpy at 0 K (eV per atom) = -2.7189

# 2
Computed, not measured: a relaxed BaDyCo4O7 crystal at the r2SCAN level of DFT.

Unit cell a=6.2953 b=6.2953 c=10.2520 alpha=90.00 beta=90.00 gamma=120.00
With the nearest neighbours (Å) after each atom.
Element x y z (fractional)
Ba: 0.3333 0.6667 0.0000  9 O 2.94-3.15
Ba: 0.6667 0.3333 0.5000  9 O 2.94-3.15
Dy: 0.3333 0.6667 0.3880  6 O 2.25
Dy: 0.6667 0.3333 0.8880  6 O 2.25
Co: 0.0000 0.0000 0.4457  4 O 1.92
Co: 0.0000 0.0000 0.9457  4 O 1.92
Co: 0.1692 0.3383 0.6981  4 O 1.89-1.95
Co: 0.1692 0.8308 0.6981  4 O 1.89-1.95
Co: 0.3383 0.1692 0.1981  4 O 1.89-1.95
Co: 0.6617 0.8308 0.6981  4 O 1.89-1.95
Co: 0.8308 0.1692 0.1981  4 O 1.89-1.95
Co: 0.8308 0.6617 0.1981  4 O 1.89-1.95
O: 0.0000 0.0000 0.2583  4 Co 1.92-1.95
O: 0.0000 0.0000 0.7583  4 Co 1.92-1.95
O: 0.0139 0.5069 0.7687  2 Co 1.91
O: 0.1639 0.3279 0.5141  2 Co 1.89-1.92
O: 0.1639 0.8361 0.5141  2 Co 1.89-1.92
O: 0.3279 0.1639 0.0141  2 Co 1.89-1.92
O: 0.4931 0.5069 0.7687  2 Co 1.91
O: 0.4931 0.9861 0.7687  2 Co 1.91
O: 0.5069 0.0139 0.2687  2 Co 1.91
O: 0.5069 0.4931 0.2687  2 Co 1.91
O: 0.6721 0.8361 0.5141  2 Co 1.89-1.92
O: 0.8361 0.1639 0.0141  2 Co 1.89-1.92
O: 0.8361 0.6721 0.0141  2 Co 1.89-1.92
O: 0.9861 0.4931 0.2687  2 Co 1.91

- energy (eV/atom) = -13.7874
- crystal system = hexagonal
- formation enthalpy at 0 K (eV per atom) = -2.0008

# 3
Computed, not measured: a relaxed BaCo2Ge2 crystal at the r2SCAN level of DFT.

Unit cell a=6.8107 b=6.8107 c=6.8107 alpha=145.95 beta=145.95 gamma=48.93
With the nearest neighbours (Å) after each atom.
Element x y z (fractional)
Ba: 0.0000 0.0000 0.0000  8 Ge 3.43, 8 Co 3.69
Co: 0.2500 0.7500 0.5000  4 Ge 2.30
Co: 0.7500 0.2500 0.5000  4 Ge 2.30
Ge: 0.3427 0.3427 0.0000  4 Co 2.30
Ge: 0.6573 0.6573 0.0000  4 Co 2.30

- energy (eV/atom) = -16.4487
- crystal system = tetragonal
- formation enthalpy at 0 K (eV per atom) = -0.3063